1.
Material: LaPt3
Method: DFT, PBE
State: optimized geometry

Output
- uncorrected energy (eV per atom) = -6.64
- volume (Å³/atom) = 19.03
- symmetry = Pm-3m, No. 221

Lattice parameters (Å, degrees): 4.2382 4.2382 4.2382 90.00 90.00 90.00
Fractional coordinates of all 4 atoms:
1 La 0.0000 0.0000 0.0000
2 Pt 0.0000 0.5000 0.5000
3 Pt 0.5000 0.0000 0.5000
4 Pt 0.5000 0.5000 0.0000



2.
Material: La8MgAl7O24
Method: DFT, PBE
State: optimized geometry

Output
- uncorrected energy (eV per atom) = -7.87
- M_tot (μB/cell) = 0.0
- volume (Å³/atom) = 11.27
- symmetry = Pm-3m, No. 221

Lattice parameters (Å, degrees): 7.6687 7.6687 7.6687 90.00 90.00 90.00
Fractional coordinates of all 40 atoms:
1 La 0.2489 0.2489 0.2489
2 La 0.2489 0.2489 0.7511
3 La 0.2489 0.7511 0.2489
4 La 0.2489 0.7511 0.7511
5 La 0.7511 0.2489 0.2489
6 La 0.7511 0.2489 0.7511
7 La 0.7511 0.7511 0.2489
8 La 0.7511 0.7511 0.7511
9 Mg 0.0000 0.0000 0.0000
10 Al 0.0000 0.0000 0.5000
11 Al 0.0000 0.5000 0.0000
12 Al 0.0000 0.5000 0.5000
13 Al 0.5000 0.0000 0.0000
14 Al 0.5000 0.0000 0.5000
15 Al 0.5000 0.5000 0.0000
16 Al 0.5000 0.5000 0.5000
17 O 0.0000 0.0000 0.2606
18 O 0.0000 0.0000 0.7394
19 O 0.0000 0.2518 0.5000
20 O 0.0000 0.2606 0.0000
21 O 0.0000 0.5000 0.2518
22 O 0.0000 0.5000 0.7482
23 O 0.0000 0.7394 0.0000
24 O 0.0000 0.7482 0.5000
25 O 0.2503 0.5000 0.5000
26 O 0.2518 0.0000 0.5000
27 O 0.2518 0.5000 0.0000
28 O 0.2606 0.0000 0.0000
29 O 0.5000 0.0000 0.2518
30 O 0.5000 0.0000 0.7482
31 O 0.5000 0.2503 0.5000
32 O 0.5000 0.2518 0.0000
33 O 0.5000 0.5000 0.2503
34 O 0.5000 0.5000 0.7497
35 O 0.5000 0.7482 0.0000
36 O 0.5000 0.7497 0.5000
37 O 0.7394 0.0000 0.0000
38 O 0.7482 0.0000 0.5000
39 O 0.7482 0.5000 0.0000
40 O 0.7497 0.5000 0.5000



3.
Material: Gd2CuAu
Method: DFT, PBE
State: optimized geometry

Output
- uncorrected energy (eV per atom) = -9.39
- volume (Å³/atom) = 23.08
- symmetry = Fm-3m, No. 225

Lattice parameters (Å, degrees): 5.0731 5.0731 5.0731 60.00 60.00 60.00
Fractional coordinates of all 4 atoms:
1 Gd 0.2500 0.2500 0.2500
2 Gd 0.7500 0.7500 0.7500
3 Cu 0.0000 0.0000 0.0000
4 Au 0.5000 0.5000 0.5000



4.
Material: Dy3AlFeS7
Method: DFT, PBE
State: optimized geometry

Output
- uncorrected energy (eV per atom) = -6.13
- M_tot (μB/cell) = 0.0
- volume (Å³/atom) = 19.87
- symmetry = P6_3, No. 173

Lattice parameters (Å, degrees): 9.5638 9.5638 6.0190 90.00 90.00 120.00
Fractional coordinates of all 24 atoms:
1 Dy 0.1437 0.3714 0.0000
2 Dy 0.2277 0.8563 0.0000
3 Dy 0.3714 0.2277 0.5000
4 Dy 0.6286 0.7723 0.0000
5 Dy 0.7723 0.1437 0.5000
6 Dy 0.8563 0.6286 0.5000
7 Al 0.3333 0.6667 0.4294
8 Al 0.6667 0.3333 0.9294
9 Fe 0.0000 0.0000 0.3149
10 Fe 0.0000 0.0000 0.8149
11 S 0.0880 0.2199 0.5721
12 S 0.0904 0.5764 0.2738
13 S 0.1319 0.9120 0.5721
14 S 0.2199 0.1319 0.0721
15 S 0.3333 0.6667 0.7988
16 S 0.4236 0.5140 0.2738
17 S 0.4860 0.9096 0.2738
18 S 0.5140 0.0904 0.7738
19 S 0.5764 0.4860 0.7738
20 S 0.6667 0.3333 0.2988
21 S 0.7801 0.8681 0.5721
22 S 0.8681 0.0880 0.0721
23 S 0.9096 0.4236 0.7738
24 S 0.9120 0.7801 0.0721



5.
Material: Ho2InPd2
Method: DFT, PBE
State: optimized geometry

Output
- uncorrected energy (eV per atom) = -5.33
- volume (Å³/atom) = 22.08
- symmetry = P4/mbm, No. 127

Lattice parameters (Å, degrees): 7.7210 7.7210 3.7032 90.00 90.00 90.00
Fractional coordinates of all 10 atoms:
1 Ho 0.1732 0.3268 0.0000
2 Ho 0.3268 0.8268 0.0000
3 Ho 0.6732 0.1732 0.0000
4 Ho 0.8268 0.6732 0.0000
5 In 0.0000 0.0000 0.5000
6 In 0.5000 0.5000 0.5000
7 Pd 0.1280 0.6280 0.5000
8 Pd 0.3720 0.1280 0.5000
9 Pd 0.6280 0.8720 0.5000
10 Pd 0.8720 0.3720 0.5000



6.
Material: GaBi25O39
Method: DFT, PBE
State: optimized geometry

Output
- uncorrected energy (eV per atom) = -5.74
- M_tot (μB/cell) = 0.0
- volume (Å³/atom) = 16.89
- symmetry = P1, No. 1

Lattice parameters (Å, degrees): 8.9425 8.9451 14.5674 90.19 90.09 109.56
Fractional coordinates of all 65 atoms:
1 Ga 0.0000 0.0000 0.0000
2 Bi 0.0286 0.3276 0.1595
3 Bi 0.0656 0.2659 0.4174
4 Bi 0.0790 0.9429 0.2441
5 Bi 0.1531 0.4849 0.6559
6 Bi 0.2321 0.7509 0.0657
7 Bi 0.2331 0.3990 0.9064
8 Bi 0.2339 0.7331 0.4291
9 Bi 0.2725 0.0792 0.5858
10 Bi 0.3299 0.0229 0.8373
11 Bi 0.4001 0.2288 0.0941
12 Bi 0.4364 0.5886 0.2396
13 Bi 0.4817 0.4776 0.4846
14 Bi 0.4917 0.1387 0.3415
15 Bi 0.5224 0.8251 0.6670
16 Bi 0.5823 0.4406 0.7489
17 Bi 0.5895 0.7742 0.9164
18 Bi 0.6721 0.9907 0.1470
19 Bi 0.7311 0.2339 0.5761
20 Bi 0.7342 0.8871 0.4079
21 Bi 0.7419 0.2338 0.9300
22 Bi 0.7784 0.5866 0.0795
23 Bi 0.8321 0.5229 0.3302
24 Bi 0.8931 0.7309 0.5962
25 Bi 0.9434 0.0776 0.7571
26 Bi 0.9860 0.6598 0.8473
27 O 0.0014 0.6167 0.0004
28 O 0.0018 0.2124 0.0028
29 O 0.0063 0.2488 0.6312
30 O 0.0488 0.9270 0.6916
31 O 0.0597 0.4395 0.8214
32 O 0.0699 0.4249 0.3104
33 O 0.1293 0.4971 0.4994
34 O 0.1915 0.1905 0.1908
35 O 0.1920 0.1895 0.8106
36 O 0.2010 0.8179 0.5597
37 O 0.2109 0.9948 0.0030
38 O 0.2435 0.5035 0.1203
39 O 0.2512 0.0127 0.3666
40 O 0.3219 0.7041 0.9397
41 O 0.3934 0.3929 0.6156
42 O 0.4284 0.0657 0.6914
43 O 0.4310 0.5470 0.8121
44 O 0.4444 0.0577 0.1802
45 O 0.4977 0.1282 0.4992
46 O 0.5005 0.2356 0.8835
47 O 0.5054 0.7209 0.5011
48 O 0.5198 0.7518 0.1294
49 O 0.5433 0.4268 0.1919
50 O 0.5598 0.9327 0.3233
51 O 0.5748 0.9280 0.8103
52 O 0.6171 0.9987 0.0003
53 O 0.6834 0.6827 0.3128
54 O 0.6910 0.6896 0.6939
55 O 0.7046 0.3195 0.0607
56 O 0.7226 0.5011 0.5049
57 O 0.7339 0.9942 0.6182
58 O 0.7508 0.5120 0.8724
59 O 0.8162 0.2011 0.4426
60 O 0.8908 0.8959 0.1063
61 O 0.8963 0.8937 0.8936
62 O 0.9262 0.0458 0.3108
63 O 0.9294 0.5758 0.1895
64 O 0.9370 0.5581 0.6798
65 O 0.9966 0.7367 0.3806



7.
Material: NdB2Ir2
Method: DFT, PBE
State: optimized geometry

Output
- uncorrected energy (eV per atom) = -7.52
- M_tot (μB/cell) = 0.0
- volume (Å³/atom) = 15.03
- symmetry = Fddd, No. 70

Lattice parameters (Å, degrees): 8.4187 8.4132 6.5390 67.18 67.10 45.72
Fractional coordinates of all 20 atoms:
1 Nd 0.0000 0.0000 0.0000
2 Nd 0.0000 0.0000 0.5000
3 Nd 0.0000 0.5000 0.0000
4 Nd 0.5000 0.0000 0.0000
5 B 0.2670 0.2678 0.6216
6 B 0.2678 0.2670 0.3436
7 B 0.3436 0.6216 0.2678
8 B 0.3784 0.6564 0.7330
9 B 0.6216 0.3436 0.2670
10 B 0.6564 0.3784 0.7322
11 B 0.7322 0.7330 0.6564
12 B 0.7330 0.7322 0.3784
13 Ir 0.0564 0.6311 0.4068
14 Ir 0.3689 0.9436 0.5942
15 Ir 0.4058 0.4068 0.6311
16 Ir 0.4068 0.4058 0.0564
17 Ir 0.5932 0.5942 0.9436
18 Ir 0.5942 0.5932 0.3689
19 Ir 0.6311 0.0564 0.4058
20 Ir 0.9436 0.3689 0.5932



8.
Material: La2Ge2O7
Method: DFT, PBE
State: optimized geometry

Output
- uncorrected energy (eV per atom) = -7.48
- volume (Å³/atom) = 14.61
- symmetry = P1, No. 1

Lattice parameters (Å, degrees): 6.9813 7.1388 7.1667 64.23 87.73 88.74
Fractional coordinates of all 22 atoms:
1 La 0.0000 0.0000 0.0000
2 La 0.0646 0.5163 0.4829
3 La 0.3039 0.9903 0.4911
4 La 0.5756 0.4322 0.8455
5 Ge 0.1108 0.4769 0.9710
6 Ge 0.4640 0.8714 0.0398
7 Ge 0.5739 0.4303 0.3500
8 Ge 0.8078 0.0004 0.5008
9 O 0.0196 0.6122 0.1102
10 O 0.2508 0.6131 0.7330
11 O 0.2562 0.2538 0.1029
12 O 0.2952 0.9655 0.8457
13 O 0.3305 0.8030 0.2753
14 O 0.3550 0.3376 0.4835
15 O 0.5577 0.6126 0.0813
16 O 0.6285 0.8286 0.6519
17 O 0.6527 0.0475 0.9892
18 O 0.6704 0.2144 0.3056
19 O 0.7158 0.5010 0.5020
20 O 0.9255 0.3831 0.8638
21 O 0.9705 0.8930 0.3744
22 O 0.9747 0.1098 0.6081



9.
Material: SnCI3N
Method: DFT, PBE
State: optimized geometry

Output
- uncorrected energy (eV per atom) = -3.84
- M_tot (μB/cell) = 1.0
- volume (Å³/atom) = 35.59
- symmetry = P4mm, No. 99

Lattice parameters (Å, degrees): 6.0025 6.0025 5.9261 90.00 90.00 90.00
Fractional coordinates of all 6 atoms:
1 Sn 0.0000 0.0000 0.0000
2 C 0.5000 0.5000 0.3581
3 I 0.0000 0.0000 0.5118
4 I 0.0000 0.5000 0.0127
5 I 0.5000 0.0000 0.0127
6 N 0.5000 0.5000 0.5572



10.
Material: K2LuCuCl6
Method: DFT, PBE
State: optimized geometry

Output
- uncorrected energy (eV per atom) = -3.94
- M_tot (μB/cell) = 0.0
- volume (Å³/atom) = 26.92
- symmetry = Fm-3m, No. 225

Lattice parameters (Å, degrees): 7.2474 7.2474 7.2474 60.00 60.00 60.00
Fractional coordinates of all 10 atoms:
1 K 0.2500 0.2500 0.2500
2 K 0.7500 0.7500 0.7500
3 Lu 0.0000 0.0000 0.0000
4 Cu 0.5000 0.5000 0.5000
5 Cl 0.2513 0.2513 0.7487
6 Cl 0.2513 0.7487 0.2513
7 Cl 0.2513 0.7487 0.7487
8 Cl 0.7487 0.2513 0.2513
9 Cl 0.7487 0.2513 0.7487
10 Cl 0.7487 0.7487 0.2513



11.
Material: MgNb3SiO10
Method: DFT, PBE
State: optimized geometry

Output
- uncorrected energy (eV per atom) = -8.31
- M_tot (μB/cell) = 0.9
- volume (Å³/atom) = 13.29
- symmetry = P1, No. 1

Lattice parameters (Å, degrees): 5.4304 5.6029 7.3899 72.07 69.63 89.56
Fractional coordinates of all 15 atoms:
1 Mg 0.0000 0.0000 0.0000
2 Nb 0.1401 0.6471 0.7638
3 Nb 0.6187 0.1450 0.7688
4 Nb 0.9822 0.4983 0.3431
5 Si 0.3488 0.0161 0.2788
6 O 0.0992 0.8840 0.2485
7 O 0.2541 0.2874 0.3096
8 O 0.2714 0.3219 0.8568
9 O 0.3837 0.8629 0.8230
10 O 0.3876 0.8113 0.4746
11 O 0.6168 0.0821 0.0730
12 O 0.6568 0.2839 0.4792
13 O 0.9108 0.4894 0.6464
14 O 0.9181 0.9477 0.7562
15 O 0.9411 0.5900 0.0828



12.
Material: Rb2PtC2
Method: DFT, PBE
State: optimized geometry

Output
- uncorrected energy (eV per atom) = -5.36
- volume (Å³/atom) = 27.22
- symmetry = P-3m1, No. 164

Lattice parameters (Å, degrees): 5.4714 5.4714 5.2487 90.00 90.00 120.00
Fractional coordinates of all 5 atoms:
1 Rb 0.3333 0.6667 0.2753
2 Rb 0.6667 0.3333 0.7247
3 Pt 0.0000 0.0000 0.0000
4 C 0.0000 0.0000 0.3785
5 C 0.0000 0.0000 0.6215



13.
Material: NaCaB5H16O17
Method: DFT, PBE
State: optimized geometry

Output
- uncorrected energy (eV per atom) = -5.78
- M_tot (μB/cell) = 0.0
- volume (Å³/atom) = 9.32
- symmetry = P-1, No. 2

Lattice parameters (Å, degrees): 6.6148 9.2055 13.4217 76.90 88.90 69.81
Fractional coordinates of all 80 atoms:
1 Na 0.2433 0.0324 0.0029
2 Na 0.7567 0.9676 0.9971
3 Ca 0.1250 0.6566 0.4731
4 Ca 0.8750 0.3434 0.5269
5 B 0.0205 0.6561 0.7011
6 B 0.3954 0.4409 0.6820
7 B 0.3946 0.6978 0.7510
8 B 0.4552 0.3257 0.5200
9 B 0.4695 0.1223 0.7862
10 B 0.5305 0.8777 0.2138
11 B 0.5448 0.6743 0.4800
12 B 0.6054 0.3022 0.2490
13 B 0.6046 0.5591 0.3180
14 B 0.9795 0.3439 0.2989
15 H 0.0038 0.0773 0.1790
16 H 0.0049 0.2859 0.0373
17 H 0.0258 0.3883 0.7126
18 H 0.0269 0.7667 0.2332
19 H 0.0458 0.5122 0.8463
20 H 0.1311 0.8747 0.6799
21 H 0.1796 0.0191 0.5466
22 H 0.1908 0.3042 0.0972
23 H 0.2043 0.2826 0.4170
24 H 0.2573 0.0747 0.6358
25 H 0.3375 0.5048 0.2551
26 H 0.4165 0.8368 0.8408
27 H 0.4288 0.0234 0.3071
28 H 0.4394 0.3123 0.8475
29 H 0.4522 0.3545 0.9762
30 H 0.4700 0.6064 0.0492
31 H 0.5300 0.3936 0.9508
32 H 0.5478 0.6455 0.0238
33 H 0.5606 0.6877 0.1525
34 H 0.5712 0.9766 0.6929
35 H 0.5835 0.1632 0.1592
36 H 0.6625 0.4952 0.7449
37 H 0.7427 0.9253 0.3642
38 H 0.7957 0.7174 0.5830
39 H 0.8092 0.6958 0.9028
40 H 0.8204 0.9809 0.4534
41 H 0.8689 0.1253 0.3201
42 H 0.9542 0.4878 0.1537
43 H 0.9731 0.2333 0.7668
44 H 0.9742 0.6117 0.2874
45 H 0.9951 0.7141 0.9627
46 H 0.9962 0.9227 0.8210
47 O 0.0220 0.9728 0.8736
48 O 0.0578 0.4024 0.2033
49 O 0.0823 0.6648 0.2844
50 O 0.1305 0.0549 0.6090
51 O 0.1358 0.2295 0.3734
52 O 0.1507 0.2954 0.0289
53 O 0.1712 0.7623 0.7250
54 O 0.1733 0.5276 0.6616
55 O 0.1870 0.8280 0.9424
56 O 0.2372 0.3711 0.4957
57 O 0.3744 0.7520 0.5268
58 O 0.4331 0.2946 0.7784
59 O 0.4745 0.0345 0.8760
60 O 0.4843 0.6110 0.3965
61 O 0.4883 0.0897 0.6886
62 O 0.4983 0.4586 0.2638
63 O 0.4992 0.2304 0.2061
64 O 0.5008 0.7696 0.7939
65 O 0.5017 0.5414 0.7362
66 O 0.5117 0.9103 0.3114
67 O 0.5157 0.3890 0.6035
68 O 0.5255 0.9655 0.1240
69 O 0.5669 0.7054 0.2216
70 O 0.6256 0.2480 0.4732
71 O 0.7628 0.6289 0.5043
72 O 0.8130 0.1720 0.0576
73 O 0.8267 0.4724 0.3384
74 O 0.8288 0.2377 0.2750
75 O 0.8493 0.7046 0.9711
76 O 0.8642 0.7705 0.6266
77 O 0.8695 0.9451 0.3910
78 O 0.9177 0.3352 0.7156
79 O 0.9422 0.5976 0.7967
80 O 0.9780 0.0272 0.1264



14.
Material: Mg2Sn
Method: DFT, PBE
State: optimized geometry

Output
- uncorrected energy (eV per atom) = -2.48
- M_tot (μB/cell) = 0.0
- volume (Å³/atom) = 23.77
- symmetry = C2/m, No. 12

Lattice parameters (Å, degrees): 6.0414 6.0414 7.7983 108.24 108.24 32.00
Fractional coordinates of all 6 atoms:
1 Mg 0.0300 0.0300 0.3062
2 Mg 0.3619 0.3619 0.9701
3 Mg 0.6381 0.6381 0.0299
4 Mg 0.9700 0.9700 0.6938
5 Sn 0.3089 0.3089 0.3507
6 Sn 0.6911 0.6911 0.6493



15.
Material: PrPt
Method: DFT, PBE
State: optimized geometry

Output
- uncorrected energy (eV per atom) = -6.53
- volume (Å³/atom) = 24.98
- symmetry = Cmcm, No. 63

Lattice parameters (Å, degrees): 5.8417 5.8417 4.5920 90.00 90.00 140.38
Fractional coordinates of all 4 atoms:
1 Pr 0.1372 0.8628 0.7500
2 Pr 0.8628 0.1372 0.2500
3 Pt 0.4123 0.5877 0.7500
4 Pt 0.5877 0.4123 0.2500